This record from the Materials Project describes a geometry-optimized Al2O3 structure. The functional is GGA-PBE.

```
Al2O3
1.0
3.0175 0.0000 0.0000
-1.5087 2.6132 0.0000
0.0000 0.0000 7.5746
Al O
2 3
direct
0.0000 0.0000 0.2220
0.0000 0.0000 0.7780
0.0000 0.0000 0.0000
0.3333 0.6667 0.6995
0.6667 0.3333 0.3005
```

Results
- total energy (eV/atom) = -7.24
- crystal system = trigonal


This record from the Materials Project describes a geometry-optimized CeIn3Pt structure. The functional is GGA-PBE.

```
CeIn3Pt
1.0
9.8376 0.0000 0.0000
0.0000 9.8376 0.0000
0.0000 0.0000 9.8376
Ce In Pt
8 24 8
direct
0.0000 0.0000 0.0000
0.0000 0.2500 0.5000
0.0000 0.7500 0.5000
0.2500 0.5000 0.0000
0.5000 0.0000 0.2500
0.5000 0.0000 0.7500
0.5000 0.5000 0.5000
0.7500 0.5000 0.0000
0.0000 0.3193 0.1522
0.0000 0.3193 0.8478
0.0000 0.6807 0.1522
0.0000 0.6807 0.8478
0.1522 0.0000 0.3193
0.1522 0.0000 0.6807
0.1807 0.5000 0.3478
0.1807 0.5000 0.6522
0.3193 0.1522 0.0000
0.3193 0.8478 0.0000
0.3478 0.1807 0.5000
0.3478 0.8193 0.5000
0.5000 0.3478 0.1807
0.5000 0.3478 0.8193
0.5000 0.6522 0.1807
0.5000 0.6522 0.8193
0.6522 0.1807 0.5000
0.6522 0.8193 0.5000
0.6807 0.1522 0.0000
0.6807 0.8478 0.0000
0.8193 0.5000 0.3478
0.8193 0.5000 0.6522
0.8478 0.0000 0.3193
0.8478 0.0000 0.6807
0.2500 0.2500 0.2500
0.2500 0.2500 0.7500
0.2500 0.7500 0.2500
0.2500 0.7500 0.7500
0.7500 0.2500 0.2500
0.7500 0.2500 0.7500
0.7500 0.7500 0.2500
0.7500 0.7500 0.7500
```

Results
- total energy (eV/atom) = -4.60
- crystal system = cubic


This record from the Materials Project describes a geometry-optimized Zr3O structure. The functional is GGA-PBE.

```
Zr3O
1.0
5.6677 0.0000 0.0000
-2.8339 4.9084 0.0000
0.0000 0.0000 5.2347
Zr O
6 2
direct
0.0000 0.3384 0.0000
0.0000 0.6616 0.5000
0.3384 0.0000 0.0000
0.3384 0.3384 0.5000
0.6616 0.0000 0.5000
0.6616 0.6616 0.0000
0.3333 0.6667 0.2500
0.6667 0.3333 0.7500
```

Results
- total energy (eV/atom) = -9.02
- crystal system = hexagonal


This record from the Materials Project describes a geometry-optimized Cs2Zn5P6H14O28 structure. The functional is GGA-PBE.

```
Cs2Zn5P6H14O28
1.0
8.6092 0.0000 0.0000
-1.5450 9.8824 0.0000
-3.6464 -4.2321 8.3167
Cs Zn P H O
2 5 6 14 28
direct
0.0142 0.0003 0.2436
0.9858 0.9997 0.7564
0.0741 0.6642 0.4268
0.4431 0.3342 0.7734
0.5000 0.0000 0.0000
0.5569 0.6658 0.2266
0.9259 0.3358 0.5732
0.1895 0.4424 0.9299
0.2663 0.4455 0.5332
0.3706 0.9856 0.6329
0.6294 0.0144 0.3671
0.7337 0.5545 0.4668
0.8105 0.5576 0.0701
0.0746 0.4353 0.0945
0.2631 0.7213 0.7807
0.2983 0.7262 0.9490
0.3673 0.4388 0.3546
0.3760 0.2263 0.0963
0.3950 0.1458 0.2082
0.4599 0.1143 0.4710
0.5401 0.8857 0.5290
0.6050 0.8542 0.7918
0.6240 0.7737 0.9037
0.6327 0.5612 0.6454
0.7017 0.2738 0.0510
0.7369 0.2787 0.2193
0.9254 0.5647 0.9055
0.0262 0.4561 0.8077
0.1161 0.3204 0.5086
0.1270 0.3739 0.0304
0.1932 0.8757 0.4868
0.2334 0.5993 0.5693
0.2630 0.3252 0.8499
0.2736 0.3779 0.3653
0.2876 0.7895 0.8910
0.3251 0.6038 0.0421
0.3485 0.1273 0.0948
0.3739 0.0218 0.7946
0.4152 0.1322 0.6126
0.4466 0.4713 0.6695
0.4775 0.0891 0.3700
0.5225 0.9109 0.6300
0.5534 0.5287 0.3305
0.5848 0.8678 0.3874
0.6261 0.9782 0.2054
0.6515 0.8727 0.9052
0.6749 0.3962 0.9579
0.7124 0.2105 0.1090
0.7264 0.6221 0.6347
0.7370 0.6748 0.1501
0.7666 0.4007 0.4307
0.8068 0.1243 0.5132
0.8730 0.6261 0.9696
0.8839 0.6796 0.4914
0.9738 0.5439 0.1923
```

Results
- offset from the most stable computed form (kJ/mol of atoms) = 0.0
- total energy (eV/atom) = -5.81
- crystal system = triclinic


This record from the Materials Project describes a geometry-optimized Li2CuO2 structure. The functional is GGA-PBE.

```
Li2CuO2
1.0
2.9110 0.0000 0.0000
0.0000 3.7099 0.0000
0.0000 0.0000 9.2673
Li Cu O
4 2 4
direct
0.0000 0.0000 0.2096
0.0000 0.0000 0.7904
0.5000 0.5000 0.2904
0.5000 0.5000 0.7096
0.0000 0.0000 0.5000
0.5000 0.5000 0.0000
0.0000 0.5000 0.1444
0.0000 0.5000 0.8556
0.5000 0.0000 0.3556
0.5000 0.0000 0.6444
```

Results
- offset from the most stable computed form (kJ/mol of atoms) = 0.0
- total energy (eV/atom) = -4.95
- crystal system = orthorhombic


This record from the Materials Project describes a geometry-optimized Nd3Al3Si3N2O12 structure. The functional is GGA-PBE.

```
Nd3Al3Si3N2O12
1.0
6.8757 -4.0621 0.0000
6.8757 4.0621 0.0000
-0.0679 0.0000 4.9226
Nd Al Si N O
3 3 3 2 12
direct
0.0000 0.0000 0.0000
0.4287 0.1672 0.9942
0.8328 0.5713 0.0058
0.1788 0.5940 0.5204
0.4060 0.8212 0.4796
0.4104 0.5896 0.0000
0.0826 0.2538 0.4580
0.6778 0.3222 0.5000
0.7462 0.9174 0.5420
0.7168 0.1234 0.6849
0.8766 0.2832 0.3151
0.0933 0.2437 0.7909
0.1164 0.4283 0.3337
0.2031 0.7246 0.2490
0.2621 0.0571 0.3226
0.2754 0.7969 0.7510
0.3112 0.4569 0.8016
0.5073 0.3713 0.2651
0.5431 0.6888 0.1984
0.5717 0.8836 0.6663
0.6287 0.4927 0.7349
0.7563 0.9067 0.2091
0.9429 0.7379 0.6774
```

Results
- largest piezoelectric modulus (C/m²) = 0.6
- total energy (eV/atom) = -7.98
- crystal system = monoclinic


no.,formation energy (eV per atom)
1,-3.184
2,-0.547
3,-1.541
4,-2.039
5,-1.662
6,-3.214